# 1
DFT (PBE-GGA) results for a relaxed structure of La4Ge7.

abc: 7.8184 7.8184 12.3208
angles: 90.00 90.00 133.65
Sites, in units of the cell vectors:
Ge 0.4287 0.6034 0.9916
La 0.9926 0.4842 0.3792
La 0.4842 0.9926 0.6208
Ge 0.0745 0.4220 0.1267
La 0.5042 0.4958 0.7500
La 0.4958 0.5042 0.2500
La 0.9903 0.9903 0.5000
Ge 0.0307 0.3319 0.6587
Ge 0.6681 0.9693 0.8413
Ge 0.9693 0.6681 0.1587
Ge 0.0686 0.9314 0.7500
Ge 0.4220 0.0745 0.8733
Ge 0.6034 0.4287 0.0084
La 0.5158 0.0074 0.1208
Ge 0.9314 0.0686 0.2500
Ge 0.5713 0.3966 0.4916
La 0.0097 0.0097 0.0000
Ge 0.5780 0.9255 0.3733
Ge 0.3319 0.0307 0.3413
La 0.0074 0.5158 0.8792
Ge 0.9255 0.5780 0.6267
Ge 0.3966 0.5713 0.5084

Computed properties:
VASP energy	-60.445	eV/f.u.

---

# 2
DFT (PBE-GGA) results for a relaxed structure of NdMgAu.

abc: 7.8202 7.8202 4.1767
angles: 90.00 90.00 120.00
Sites, in units of the cell vectors:
Mg 0.7552 0.7552 0.5000
Au 0.6667 0.3333 0.5000
Mg 0.0000 0.2448 0.5000
Mg 0.2448 0.0000 0.5000
Au 0.3333 0.6667 0.5000
Nd 0.4095 0.4095 0.0000
Nd 0.0000 0.5905 0.0000
Nd 0.5905 0.0000 0.0000
Au 0.0000 0.0000 0.0000

Computed properties:
VASP energy	-11.594	eV/f.u.